Entry 1:
Entry from Materials Project: an optimized crystal structure of Pr2S3O12 (meta-GGA r2SCAN).

Properties
SG: C2/c

abc: 11.3258 11.3258 6.9708
angles: 73.63 73.63 34.51
Atoms (fractional coordinates):
O (0.9075, 0.9813, 0.8547)
O (0.1016, 0.3968, 0.7892)
O (0.0925, 0.0187, 0.1453)
O (0.9813, 0.9075, 0.3547)
O (0.6032, 0.8984, 0.7108)
O (0.3710, 0.9837, 0.0016)
O (0.6290, 0.0163, 0.9984)
O (0.7370, 0.3084, 0.8913)
O (0.3437, 0.9621, 0.6959)
O (0.9621, 0.3437, 0.1959)
O (0.0187, 0.0925, 0.6453)
O (0.9837, 0.3710, 0.5016)
O (0.3506, 0.3536, 0.1261)
O (0.3084, 0.7370, 0.3913)
O (0.2630, 0.6916, 0.1087)
O (0.6916, 0.2630, 0.6087)
O (0.0163, 0.6290, 0.4984)
O (0.3536, 0.3506, 0.6261)
O (0.6563, 0.0379, 0.3041)
O (0.6494, 0.6464, 0.8739)
O (0.0379, 0.6563, 0.8041)
O (0.6464, 0.6494, 0.3739)
O (0.3968, 0.1016, 0.2892)
O (0.8984, 0.6032, 0.2108)
S (0.5004, 0.1323, 0.1796)
S (0.1671, 0.8329, 0.2500)
S (0.1323, 0.5004, 0.6796)
S (0.8329, 0.1671, 0.7500)
S (0.4996, 0.8677, 0.8204)
S (0.8677, 0.4996, 0.3204)
Pr (0.7221, 0.0145, 0.6314)
Pr (0.2779, 0.9855, 0.3686)
Pr (0.9855, 0.2779, 0.8686)
Pr (0.0145, 0.7221, 0.1314)

=====

Entry 2:
Entry from Materials Project: an optimized crystal structure of Ni2Te3O8 (meta-GGA r2SCAN).

Properties
SG: C2/c

abc: 6.7147 6.7150 11.4340
angles: 82.14 82.13 45.41
Atoms (fractional coordinates):
Ni (0.9440, 0.5851, 0.8560)
Ni (0.0560, 0.4149, 0.1440)
Ni (0.5851, 0.9440, 0.3560)
Ni (0.4149, 0.0560, 0.6440)
O (0.1443, 0.4537, 0.6974)
O (0.2616, 0.9638, 0.3687)
O (0.7384, 0.0362, 0.6313)
O (0.7248, 0.7431, 0.0261)
O (0.2569, 0.2752, 0.4740)
O (0.5463, 0.8557, 0.8026)
O (0.1302, 0.0344, 0.6456)
O (0.4537, 0.1443, 0.1974)
O (0.8698, 0.9656, 0.3544)
O (0.8557, 0.5463, 0.3026)
O (0.7431, 0.7248, 0.5260)
O (0.0362, 0.7384, 0.1313)
O (0.9638, 0.2616, 0.8687)
O (0.9656, 0.8698, 0.8544)
O (0.2752, 0.2569, 0.9739)
O (0.0344, 0.1302, 0.1456)
Te (0.3197, 0.9487, 0.9436)
Te (0.1840, 0.8160, 0.2500)
Te (0.0513, 0.6803, 0.5564)
Te (0.9487, 0.3197, 0.4436)
Te (0.8160, 0.1840, 0.7500)
Te (0.6803, 0.0513, 0.0564)

=====

Entry 3:
Entry from Materials Project: an optimized crystal structure of KNbF6 (meta-GGA r2SCAN).

Properties
SG: P4_2/mcm

abc: 5.2651 5.2651 9.6203
angles: 90.00 90.00 90.00
Atoms (fractional coordinates):
K (0.5000, 0.5000, 0.5000)
K (0.5000, 0.5000, 0.0000)
F (0.1841, 0.1838, 0.1093)
F (0.7395, 0.7395, 0.7500)
F (0.8159, 0.8162, 0.1093)
F (0.2605, 0.2605, 0.7500)
F (0.8162, 0.8159, 0.3907)
F (0.1838, 0.8159, 0.8907)
F (0.8162, 0.1841, 0.8907)
F (0.1838, 0.1841, 0.3907)
F (0.2605, 0.7395, 0.2500)
F (0.7395, 0.2605, 0.2500)
F (0.1841, 0.8162, 0.6093)
F (0.8159, 0.1838, 0.6093)
Nb (0.0000, 0.0000, 0.2500)
Nb (0.0000, 0.0000, 0.7500)

=====

Entry 4:
Entry from Materials Project: an optimized crystal structure of K2LaBr5 (meta-GGA r2SCAN).

Properties
SG: Pnma

abc: 8.4983 9.2944 13.4387
angles: 90.00 90.00 90.00
Atoms (fractional coordinates):
Br (0.8678, 0.2500, 0.3168)
Br (0.8319, 0.4547, 0.5803)
Br (0.5664, 0.7500, 0.5066)
Br (0.9336, 0.7500, 0.0066)
Br (0.3319, 0.9547, 0.9197)
Br (0.1681, 0.9547, 0.4197)
Br (0.6322, 0.2500, 0.8168)
Br (0.3318, 0.2500, 0.2093)
Br (0.1322, 0.7500, 0.6832)
Br (0.0664, 0.2500, 0.9934)
Br (0.3319, 0.5453, 0.9197)
Br (0.6681, 0.4547, 0.0803)
Br (0.1682, 0.2500, 0.7093)
Br (0.6681, 0.0453, 0.0803)
Br (0.4336, 0.2500, 0.4934)
Br (0.1681, 0.5453, 0.4197)
Br (0.8319, 0.0453, 0.5803)
Br (0.8318, 0.7500, 0.2907)
Br (0.3678, 0.7500, 0.1832)
Br (0.6682, 0.7500, 0.7907)
K (0.5517, 0.4956, 0.3279)
K (0.9483, 0.4956, 0.8279)
K (0.4483, 0.5044, 0.6721)
K (0.5517, 0.0044, 0.3279)
K (0.0517, 0.5044, 0.1721)
K (0.4483, 0.9956, 0.6721)
K (0.9483, 0.0044, 0.8279)
K (0.0517, 0.9956, 0.1721)
La (0.5791, 0.7500, 0.0067)
La (0.4209, 0.2500, 0.9933)
La (0.9209, 0.7500, 0.5067)
La (0.0791, 0.2500, 0.4933)

=====

Entry 5:
Entry from Materials Project: an optimized crystal structure of Nd2In (meta-GGA r2SCAN).

Properties
SG: P6_3/mmc

abc: 5.5734 5.5734 6.9397
angles: 90.00 90.00 120.00
Atoms (fractional coordinates):
Nd (0.6667, 0.3333, 0.2500)
Nd (0.0000, 0.0000, 0.0000)
Nd (0.0000, 0.0000, 0.5000)
Nd (0.3333, 0.6667, 0.7500)
In (0.3333, 0.6667, 0.2500)
In (0.6667, 0.3333, 0.7500)

=====

Entry 6:
Entry from Materials Project: an optimized crystal structure of GdCu2Si2 (meta-GGA r2SCAN).

Properties
SG: I4/mmm

abc: 5.7037 5.7037 5.7037
angles: 139.08 139.08 59.25
Atoms (fractional coordinates):
Si (0.3810, 0.3810, 0.0000)
Si (0.6190, 0.6190, 0.0000)
Gd (0.0000, 0.0000, 0.0000)
Cu (0.2500, 0.7500, 0.5000)
Cu (0.7500, 0.2500, 0.5000)

=====

Entry 7:
Entry from Materials Project: an optimized crystal structure of Lu2Si3Pd (meta-GGA r2SCAN).

Properties
SG: Pmm2

abc: 3.8539 4.1430 6.8911
angles: 90.00 90.00 90.00
Atoms (fractional coordinates):
Lu (0.0000, 0.0000, 0.9945)
Lu (0.0000, 0.5000, 0.5061)
Si (0.5000, 0.0001, 0.3315)
Si (0.5000, 0.5000, 0.8319)
Si (0.5000, 0.0000, 0.6666)
Pd (0.5000, 0.5001, 0.1694)

=====

Entry 8:
Entry from Materials Project: an optimized crystal structure of MoO2 (meta-GGA r2SCAN).

Properties
SG: P2_1/c

abc: 4.8685 5.5408 5.5770
angles: 119.02 90.00 90.00
Atoms (fractional coordinates):
Mo (0.0078, 0.0167, 0.7868)
Mo (0.4922, 0.5167, 0.2868)
Mo (0.9922, 0.9833, 0.2132)
Mo (0.5078, 0.4833, 0.7132)
O (0.3021, 0.2989, 0.9083)
O (0.7809, 0.2341, 0.1223)
O (0.7191, 0.7341, 0.6223)
O (0.8021, 0.2011, 0.5917)
O (0.6979, 0.7011, 0.0917)
O (0.2190, 0.7659, 0.8777)
O (0.1979, 0.7989, 0.4083)
O (0.2810, 0.2659, 0.3777)

=====

Entry 9:
Entry from Materials Project: an optimized crystal structure of Ba4P2O (meta-GGA r2SCAN).

Properties
SG: Cmce

abc: 7.2270 7.5896 9.0601
angles: 90.00 113.51 90.00
Atoms (fractional coordinates):
P (0.3652, 0.9774, 0.7303)
P (0.8652, 0.5226, 0.7303)
P (0.1348, 0.4774, 0.2697)
P (0.6348, 0.0226, 0.2697)
Ba (0.7301, 0.2500, 0.9603)
Ba (0.2699, 0.7500, 0.0397)
Ba (0.3235, 0.5663, 0.6471)
Ba (0.2301, 0.2500, 0.9603)
Ba (0.1765, 0.0663, 0.3529)
Ba (0.8235, 0.9337, 0.6471)
Ba (0.7699, 0.7500, 0.0397)
Ba (0.6765, 0.4337, 0.3529)
O (0.5000, 0.5000, 0.0000)
O (0.0000, 0.0000, 0.0000)

=====

Entry 10:
Entry from Materials Project: an optimized crystal structure of Na3NiO3 (meta-GGA r2SCAN).

Properties
SG: P-1

abc: 5.6934 5.7965 6.2723
angles: 115.26 89.12 94.03
Atoms (fractional coordinates):
Na (0.4368, 0.7387, 0.7432)
Na (0.5632, 0.2613, 0.2568)
Na (0.0580, 0.2295, 0.4426)
Na (0.1410, 0.2355, 0.9834)
Na (0.9420, 0.7705, 0.5574)
Na (0.8590, 0.7645, 0.0166)
O (0.2550, 0.5320, 0.3473)
O (0.7450, 0.4680, 0.6527)
O (0.2415, 0.9045, 0.1002)
O (0.7585, 0.0955, 0.8998)
O (0.3068, 0.0792, 0.6282)
O (0.6932, 0.9208, 0.3718)
Ni (0.6284, 0.1872, 0.6889)
Ni (0.3716, 0.8128, 0.3111)

=====

Entry 11:
Entry from Materials Project: an optimized crystal structure of LuAl2Ge2 (meta-GGA r2SCAN).

Properties
SG: P-3m1

abc: 4.2187 4.2187 6.4582
angles: 90.00 90.00 120.00
Atoms (fractional coordinates):
Ge (0.6667, 0.3333, 0.7470)
Ge (0.3333, 0.6667, 0.2530)
Al (0.6667, 0.3333, 0.3520)
Al (0.3333, 0.6667, 0.6480)
Lu (0.0000, 0.0000, 0.0000)

=====

Entry 12:
Entry from Materials Project: an optimized crystal structure of SrRu2O6 (meta-GGA r2SCAN).

abc: 5.2239 5.2239 10.4904
angles: 90.00 90.00 120.00
Atoms (fractional coordinates):
Sr (0.0000, 0.0000, 0.5000)
Sr (0.0000, 0.0000, 0.0000)
O (0.3795, 0.0000, 0.8505)
O (0.9999, 0.3794, 0.3504)
O (0.6206, 0.0001, 0.1495)
O (0.3795, 0.3794, 0.1495)
O (0.6206, 0.0000, 0.6496)
O (0.3795, 0.3794, 0.6496)
O (0.0000, 0.3794, 0.8505)
O (0.9999, 0.6205, 0.1495)
O (0.3795, 0.0001, 0.3504)
O (0.0000, 0.6205, 0.6496)
O (0.6206, 0.6205, 0.3504)
O (0.6206, 0.6205, 0.8505)
Ru (0.6667, 0.3333, 0.7500)
Ru (0.6667, 0.3333, 0.2500)
Ru (0.3333, 0.6667, 0.7500)
Ru (0.3333, 0.6667, 0.2500)

=====

| no. | volume (Å³/f.u.) | ΔH_f (0 K) (meV/atom) |
| --- | --- | --- |
| 1 | 242.0 | -2331 |
| 2 | 181.5 | -1168 |
| 3 | 133.3 | -3264 |
| 4 | 265.4 | -2186 |
| 5 | 93.3 | -473 |
| 6 | 78.8 | -613 |
| 7 | 110.0 | -838 |
| 8 | 32.9 | -2126 |
| 9 | 227.9 | -1591 |
| 10 | 93.4 | -1406 |
| 11 | 99.5 | -422 |
| 12 | 124.0 | -1677 |